# Na3YZnSiS2O12 GGA-PBE optimized geometry
data_Na3YZnSiS2O12
_chemical_formula_sum 'Na18 Y6 Zn6 Si6 S12 O72'
_cell_length_a 9.312
_cell_length_b 9.312
_cell_length_c 23.008
_cell_angle_alpha 91.04
_cell_angle_beta 91.04
_cell_angle_gamma 59.55
_symmetry_space_group_name_H-M 'P 1'
_symmetry_Int_Tables_number 1
loop_
_symmetry_equiv_pos_as_xyz
'x,y,z'
loop_
_atom_site_label
_atom_site_type_symbol
_atom_site_fract_x
_atom_site_fract_y
_atom_site_fract_z
Na1 Na 0.121 0.879 0.500
Na2 Na 0.133 0.499 0.015
Na3 Na 0.143 0.151 0.426
Na4 Na 0.145 0.786 0.173
Na5 Na 0.151 0.143 0.926
Na6 Na 0.183 0.831 0.849
Na7 Na 0.197 0.478 0.329
Na8 Na 0.466 0.505 0.260
Na9 Na 0.478 0.197 0.829
Na10 Na 0.499 0.133 0.515
Na11 Na 0.505 0.466 0.760
Na12 Na 0.527 0.813 0.668
Na13 Na 0.786 0.145 0.673
Na14 Na 0.813 0.527 0.168
Na15 Na 0.826 0.829 0.592
Na16 Na 0.829 0.826 0.092
Na17 Na 0.831 0.183 0.349
Na18 Na 0.879 0.121 0.000
Y1 Y 0.151 0.173 0.769
Y2 Y 0.173 0.151 0.269
Y3 Y 0.480 0.495 0.104
Y4 Y 0.495 0.480 0.604
Y5 Y 0.831 0.832 0.435
Y6 Y 0.832 0.831 0.935
Zn1 Zn 0.150 0.175 0.571
Zn2 Zn 0.175 0.150 0.071
Zn3 Zn 0.499 0.505 0.905
Zn4 Zn 0.505 0.499 0.405
Zn5 Zn 0.789 0.873 0.740
Zn6 Zn 0.873 0.789 0.240
Si1 Si 0.144 0.817 0.338
Si2 Si 0.155 0.457 0.168
Si3 Si 0.200 0.801 0.000
Si4 Si 0.457 0.155 0.668
Si5 Si 0.801 0.200 0.500
Si6 Si 0.817 0.144 0.838
S1 S 0.123 0.535 0.834
S2 S 0.157 0.864 0.668
S3 S 0.196 0.489 0.499
S4 S 0.469 0.861 0.167
S5 S 0.489 0.196 0.999
S6 S 0.490 0.794 0.504
S7 S 0.529 0.822 0.832
S8 S 0.535 0.123 0.334
S9 S 0.794 0.490 0.004
S10 S 0.822 0.529 0.332
S11 S 0.861 0.469 0.667
S12 S 0.864 0.157 0.168
O1 O 0.012 0.815 0.999
O2 O 0.012 0.842 0.673
O3 O 0.023 0.848 0.394
O4 O 0.024 0.638 0.785
O5 O 0.025 0.637 0.497
O6 O 0.034 0.605 0.890
O7 O 0.061 0.786 0.278
O8 O 0.132 0.967 0.616
O9 O 0.135 0.362 0.110
O10 O 0.142 0.995 0.334
O11 O 0.157 0.360 0.831
O12 O 0.166 0.993 0.009
O13 O 0.167 0.361 0.228
O14 O 0.176 0.947 0.722
O15 O 0.191 0.334 0.506
O16 O 0.275 0.522 0.551
O17 O 0.284 0.685 0.058
O18 O 0.288 0.525 0.836
O19 O 0.294 0.471 0.446
O20 O 0.305 0.707 0.941
O21 O 0.312 0.494 0.168
O22 O 0.317 0.702 0.664
O23 O 0.324 0.642 0.346
O24 O 0.334 0.191 0.006
O25 O 0.338 0.963 0.505
O26 O 0.360 0.157 0.331
O27 O 0.361 0.167 0.728
O28 O 0.361 0.934 0.219
O29 O 0.362 0.135 0.610
O30 O 0.362 0.980 0.831
O31 O 0.385 0.957 0.115
O32 O 0.471 0.294 0.946
O33 O 0.472 0.705 0.453
O34 O 0.494 0.312 0.668
O35 O 0.496 0.686 0.163
O36 O 0.502 0.680 0.835
O37 O 0.506 0.704 0.558
O38 O 0.522 0.275 0.051
O39 O 0.525 0.288 0.336
O40 O 0.605 0.034 0.390
O41 O 0.616 0.839 0.884
O42 O 0.625 0.804 0.778
O43 O 0.634 0.845 0.175
O44 O 0.637 0.025 0.997
O45 O 0.638 0.024 0.285
O46 O 0.639 0.815 0.499
O47 O 0.642 0.324 0.846
O48 O 0.647 0.981 0.669
O49 O 0.680 0.502 0.335
O50 O 0.685 0.284 0.558
O51 O 0.686 0.496 0.663
O52 O 0.702 0.317 0.164
O53 O 0.704 0.506 0.058
O54 O 0.705 0.472 0.953
O55 O 0.707 0.305 0.441
O56 O 0.786 0.061 0.778
O57 O 0.804 0.625 0.278
O58 O 0.815 0.012 0.499
O59 O 0.815 0.639 0.999
O60 O 0.839 0.616 0.384
O61 O 0.842 0.012 0.173
O62 O 0.845 0.634 0.675
O63 O 0.848 0.023 0.894
O64 O 0.934 0.361 0.719
O65 O 0.947 0.176 0.222
O66 O 0.957 0.385 0.615
O67 O 0.963 0.338 0.005
O68 O 0.967 0.132 0.116
O69 O 0.980 0.362 0.331
O70 O 0.981 0.647 0.169
O71 O 0.993 0.166 0.509
O72 O 0.995 0.142 0.834
# DFT formation energy in eV per atom: -2.443
# Total DFT energy (no corrections) in eV for the cell shown: -752.291
# Space group: Cc (9)
# V in Å³/atom: 14.33
# Energy with MP2020 corrections in eV/atom: -6.681